No. 1
A relaxed SmAl10Ru2 crystal. Source: Materials Project, functional PBE.

Cell lengths 6.873, 6.873, 9.183 Å; angles 90.00, 90.00, 96.84 degrees
Atoms (fractional coordinates):
Sm  0.875  0.125  0.750
Sm  0.125  0.875  0.250
Al  0.623  0.377  0.549
Al  0.377  0.623  0.451
Al  0.377  0.623  0.049
Al  0.623  0.377  0.951
Al  0.228  0.228  0.500
Al  0.772  0.772  0.500
Al  0.772  0.772  0.000
Al  0.228  0.228  0.000
Al  0.842  0.158  0.100
Al  0.158  0.842  0.900
Al  0.158  0.842  0.600
Al  0.842  0.158  0.400
Al  0.861  0.587  0.750
Al  0.139  0.413  0.250
Al  0.413  0.139  0.750
Al  0.587  0.861  0.250
Al  0.222  0.481  0.750
Al  0.778  0.519  0.250
Al  0.519  0.778  0.750
Al  0.481  0.222  0.250
Ru  0.000  0.500  0.500
Ru  0.000  0.500  0.000
Ru  0.500  0.000  0.000
Ru  0.500  0.000  0.500

The formation energy comes out at -0.52 eV per atom. As for the space group: Cmcm, No. 63.



No. 2
A relaxed Sm3Al12Ru4 crystal. Source: Materials Project, functional PBE.

Cell lengths 8.842, 8.842, 9.620 Å; angles 90.00, 90.00, 120.00 degrees
Atoms (fractional coordinates):
Sm  0.193  0.385  0.250
Sm  0.807  0.615  0.750
Sm  0.615  0.807  0.250
Sm  0.385  0.193  0.750
Sm  0.193  0.807  0.250
Sm  0.807  0.193  0.750
Al  0.333  0.667  0.012
Al  0.667  0.333  0.988
Al  0.667  0.333  0.512
Al  0.333  0.667  0.488
Al  0.162  0.324  0.576
Al  0.838  0.676  0.424
Al  0.676  0.838  0.576
Al  0.838  0.676  0.076
Al  0.324  0.162  0.424
Al  0.162  0.324  0.924
Al  0.162  0.838  0.576
Al  0.324  0.162  0.076
Al  0.838  0.162  0.424
Al  0.676  0.838  0.924
Al  0.838  0.162  0.076
Al  0.162  0.838  0.924
Al  0.562  0.123  0.250
Al  0.438  0.877  0.750
Al  0.877  0.438  0.250
Al  0.123  0.562  0.750
Al  0.562  0.438  0.250
Al  0.438  0.562  0.750
Al  0.000  0.000  0.250
Al  0.000  0.000  0.750
Ru  0.500  0.000  0.000
Ru  0.000  0.500  0.000
Ru  0.500  0.000  0.500
Ru  0.500  0.500  0.000
Ru  0.000  0.500  0.500
Ru  0.500  0.500  0.500
Ru  0.000  0.000  0.000
Ru  0.000  0.000  0.500

The formation energy comes out at -0.65 eV per atom. As for the space group: P6_3/mmc, No. 194.



No. 3
A relaxed Tm2AlRu crystal. Source: Materials Project, functional PBE.

Cell lengths 4.886, 4.886, 4.886 Å; angles 60.00, 60.00, 60.00 degrees
Atoms (fractional coordinates):
Tm  0.250  0.250  0.250
Tm  0.750  0.750  0.750
Al  0.500  0.500  0.500
Ru  0.000  0.000  0.000

The formation energy comes out at -0.41 eV per atom. As for the space group: Fm-3m, No. 225.